PBE+U Ba2YW3O7, relaxed; calculated total energy = -7.1119 eV/atom; ΔE_f = -2.0588 eV/atom
1.0
4.086 0.000 0.000
0.000 4.207 0.000
0.000 0.000 11.867
O Ba W Y
7 2 3 1
Cartesian
2.043 0.000 1.803
2.043 0.000 10.064
0.000 0.000 4.010
0.000 0.000 7.858
0.000 2.104 1.565
0.000 2.104 10.302
0.000 2.104 5.934
2.043 2.104 3.745
2.043 2.104 8.122
0.000 0.000 5.934
0.000 0.000 10.478
0.000 0.000 1.389
2.043 2.104 0.000